# 1
# CaPrV2O6

An optimized crystal structure of CaPrV2O6 (GGA+U, the Materials Project database).

a b c (Å): 7.601 5.636 5.530
angles (deg): 90.00 90.00 90.00
Positions (direct):
Ca 0.000 0.206 0.000
Ca 0.500 0.794 0.500
Pr 0.000 0.707 0.526
Pr 0.500 0.293 0.026
V 0.249 0.248 0.513
V 0.251 0.752 0.013
V 0.749 0.752 0.013
V 0.751 0.248 0.513
O 0.000 0.265 0.433
O 0.000 0.768 0.090
O 0.205 0.458 0.799
O 0.208 0.959 0.727
O 0.292 0.041 0.227
O 0.295 0.542 0.299
O 0.500 0.232 0.590
O 0.500 0.735 0.933
O 0.705 0.542 0.299
O 0.708 0.041 0.227
O 0.792 0.959 0.727
O 0.795 0.458 0.799

Calculated values
- Total moment: 3.0 μB per formula unit
- Total energy after the MP2020 corrections: -8.52 eV/atom
- Crystal system: orthorhombic
- Symmetry: No. 31

***

# 2
# CaPrW2O6

An optimized crystal structure of CaPrW2O6 (GGA+U, the Materials Project database).

a b c (Å): 5.902 5.636 8.056
angles (deg): 90.00 90.63 90.00
Positions (direct):
Ca 0.195 0.000 0.241
Ca 0.805 0.500 0.759
Pr 0.308 0.962 0.760
Pr 0.692 0.462 0.240
W 0.248 0.481 0.000
W 0.248 0.483 0.500
W 0.752 0.981 0.000
W 0.752 0.983 0.500
O 0.043 0.787 0.559
O 0.055 0.791 0.942
O 0.213 0.374 0.741
O 0.285 0.592 0.259
O 0.446 0.171 0.058
O 0.460 0.181 0.440
O 0.540 0.681 0.560
O 0.554 0.671 0.942
O 0.715 0.092 0.741
O 0.787 0.874 0.259
O 0.945 0.291 0.058
O 0.957 0.287 0.441

Calculated values
- Total moment: 3.0 μB per formula unit
- Total energy after the MP2020 corrections: -8.81 eV/atom
- Crystal system: monoclinic
- Symmetry: No. 4

***

# 3
# Rb2CaV2O7

An optimized crystal structure of Rb2CaV2O7 (GGA+U, the Materials Project database).

a b c (Å): 10.499 6.080 15.346
angles (deg): 90.00 116.39 90.00
Positions (direct):
Rb 0.001 0.225 0.130
Rb 0.001 0.275 0.630
Rb 0.473 0.235 0.331
Rb 0.473 0.265 0.831
Rb 0.527 0.735 0.169
Rb 0.527 0.765 0.669
Rb 0.999 0.725 0.370
Rb 0.999 0.775 0.870
Ca 0.270 0.240 0.522
Ca 0.270 0.260 0.022
Ca 0.730 0.740 0.978
Ca 0.730 0.760 0.478
V 0.162 0.734 0.139
V 0.162 0.766 0.639
V 0.327 0.728 0.378
V 0.327 0.772 0.878
V 0.673 0.228 0.122
V 0.673 0.272 0.622
V 0.838 0.234 0.361
V 0.838 0.266 0.861
O 0.018 0.208 0.433
O 0.018 0.292 0.933
O 0.181 0.687 0.760
O 0.181 0.813 0.260
O 0.230 0.554 0.598
O 0.230 0.946 0.098
O 0.248 0.010 0.644
O 0.248 0.490 0.144
O 0.288 0.031 0.904
O 0.288 0.469 0.404
O 0.324 0.584 0.960
O 0.324 0.916 0.460
O 0.486 0.730 0.370
O 0.486 0.770 0.870
O 0.514 0.230 0.130
O 0.514 0.270 0.630
O 0.676 0.084 0.540
O 0.676 0.416 0.040
O 0.712 0.531 0.596
O 0.712 0.969 0.096
O 0.752 0.510 0.856
O 0.752 0.990 0.356
O 0.770 0.054 0.902
O 0.770 0.446 0.402
O 0.819 0.187 0.740
O 0.819 0.313 0.240
O 0.982 0.708 0.067
O 0.982 0.792 0.567

Calculated values
- Total moment: 0.0 μB per formula unit
- Total energy after the MP2020 corrections: -7.37 eV/atom
- Crystal system: monoclinic
- Symmetry: No. 14

***

# 4
# Ca2VSbO6

An optimized crystal structure of Ca2VSbO6 (GGA+U, the Materials Project database).

a b c (Å): 5.513 7.753 5.681
angles (deg): 90.00 90.05 90.00
Positions (direct):
Ca 0.004 0.250 0.457
Ca 0.481 0.250 0.936
Ca 0.519 0.750 0.064
Ca 0.996 0.750 0.543
V 0.500 0.000 0.500
V 0.500 0.500 0.500
Sb 0.000 0.000 0.000
Sb 0.000 0.500 0.000
O 0.104 0.750 0.966
O 0.189 0.049 0.708
O 0.189 0.451 0.708
O 0.293 0.047 0.192
O 0.293 0.453 0.192
O 0.429 0.750 0.480
O 0.571 0.250 0.520
O 0.707 0.547 0.808
O 0.707 0.953 0.808
O 0.811 0.549 0.292
O 0.811 0.951 0.292
O 0.896 0.250 0.034

Calculated values
- Total moment: 2.0 μB per formula unit
- Relative energy among the computed polymorphs: 0 meV per atom
- Total energy after the MP2020 corrections: -7.42 eV/atom
- Crystal system: monoclinic
- Symmetry: No. 11

***

# 5
# Ca2VSbO6

An optimized crystal structure of Ca2VSbO6 (GGA+U, the Materials Project database).

a b c (Å): 5.706 5.706 5.706
angles (deg): 60.00 60.00 60.00
Positions (direct):
Ca 0.250 0.250 0.250
Ca 0.750 0.750 0.750
V 0.000 0.000 0.000
Sb 0.500 0.500 0.500
O 0.238 0.238 0.762
O 0.238 0.762 0.238
O 0.238 0.762 0.762
O 0.762 0.238 0.238
O 0.762 0.238 0.762
O 0.762 0.762 0.238

Calculated values
- Total moment: 0.0 μB per formula unit
- Relative energy among the computed polymorphs: 312 meV per atom
- Total energy after the MP2020 corrections: -7.11 eV/atom
- Crystal system: cubic
- Symmetry: No. 225

***

# 6
# Sr2CaV2Si4O14

An optimized crystal structure of Sr2CaV2Si4O14 (GGA+U, the Materials Project database).

a b c (Å): 5.869 7.342 8.001
angles (deg): 84.84 70.83 75.49
Positions (direct):
Sr 0.000 0.000 0.000
Sr 0.322 0.469 0.108
Ca 0.122 0.730 0.520
V 0.305 0.110 0.366
V 0.992 0.316 0.670
Si 0.548 0.178 0.739
Si 0.575 0.734 0.735
Si 0.679 0.709 0.330
Si 0.774 0.282 0.328
O 0.070 0.188 0.230
O 0.132 0.045 0.596
O 0.193 0.398 0.448
O 0.250 0.258 0.815
O 0.327 0.722 0.892
O 0.454 0.842 0.267
O 0.539 0.688 0.546
O 0.629 0.168 0.250
O 0.634 0.948 0.707
O 0.687 0.234 0.868
O 0.694 0.276 0.546
O 0.718 0.498 0.249
O 0.835 0.595 0.746
O 0.945 0.761 0.279

Calculated values
- Total moment: 4.0 μB per formula unit
- Relative energy among the computed polymorphs: 0 meV per atom
- Total energy after the MP2020 corrections: -8.10 eV/atom
- Crystal system: triclinic
- Symmetry: No. 1

***

It is found that the formation energy from the elements values, taken in the order of the records, are -3.057 -2.569 -2.641 -2.733 -2.420 -3.119 eV per atom.